(1)
A geometry-optimized ZrPbO3 structure. Source: the Materials Project database, functional PBE-GGA.

- Piezoelectric modulus e_max: 2.71 C/m2

Geometry as POSCAR:
```
ZrPbO3
1.0
4.1764 0.0000 0.0000
0.0000 2.9807 3.0670
0.0000 -2.9807 3.0670
Zr Pb O
1 1 3
direct
0.0000 0.0000 0.0000
0.5000 0.4381 0.4381
0.0000 0.0563 0.5252
0.0000 0.5252 0.0563
0.5000 0.0530 0.0530
```

---

(2)
A geometry-optimized Zr4Ni2N structure. Source: the Materials Project database, functional PBE-GGA.

Geometry as POSCAR:
```
Zr4Ni2N
1.0
0.0000 6.1380 6.1380
6.1380 0.0000 6.1380
6.1380 6.1380 0.0000
Zr Ni N
16 8 4
direct
0.0000 0.0000 0.0000
0.0000 0.0000 0.5000
0.0000 0.5000 0.0000
0.1915 0.1915 0.5585
0.1915 0.5585 0.1915
0.1915 0.5585 0.5585
0.4415 0.4415 0.8085
0.4415 0.8085 0.4415
0.4415 0.8085 0.8085
0.5000 0.0000 0.0000
0.5585 0.1915 0.1915
0.5585 0.1915 0.5585
0.5585 0.5585 0.1915
0.8085 0.4415 0.4415
0.8085 0.4415 0.8085
0.8085 0.8085 0.4415
0.1427 0.7858 0.7858
0.2142 0.2142 0.2142
0.2142 0.2142 0.8573
0.2142 0.8573 0.2142
0.7858 0.1427 0.7858
0.7858 0.7858 0.1427
0.7858 0.7858 0.7858
0.8573 0.2142 0.2142
0.0000 0.5000 0.5000
0.5000 0.0000 0.5000
0.5000 0.5000 0.0000
0.5000 0.5000 0.5000
```

---

(3)
A geometry-optimized Ba3SrIr2O9 structure. Source: the Materials Project database, functional PBE-GGA.

Geometry as POSCAR:
```
Ba3SrIr2O9
1.0
3.0545 -5.2299 0.0000
3.0545 5.2299 0.0000
-0.8180 0.0000 15.0472
Ba Sr Ir O
6 2 4 18
direct
0.0115 0.9885 0.7500
0.3268 0.6590 0.4086
0.3410 0.6732 0.0914
0.6590 0.3268 0.9086
0.6732 0.3410 0.5914
0.9885 0.0115 0.2500
0.0000 0.0000 0.0000
0.0000 0.0000 0.5000
0.3102 0.6393 0.8340
0.3607 0.6898 0.6660
0.6393 0.3102 0.3340
0.6898 0.3607 0.1660
0.0337 0.5111 0.7333
0.1299 0.7703 0.9041
0.1327 0.3173 0.8919
0.2297 0.8701 0.5959
0.2345 0.4189 0.5739
0.3173 0.1327 0.3919
0.4189 0.2345 0.0739
0.4889 0.9663 0.7667
0.4906 0.5094 0.7500
0.5094 0.4906 0.2500
0.5111 0.0337 0.2333
0.5811 0.7655 0.9261
0.6827 0.8673 0.6081
0.7655 0.5811 0.4261
0.7703 0.1299 0.4041
0.8673 0.6827 0.1081
0.8701 0.2297 0.0959
0.9663 0.4889 0.2667
```

---

no.,energy of formation (eV per atom),electronic total energy (eV for the cell shown),corrected total energy (MP2020 scheme) (eV/atom)
1,-2.8433,-39.26,-8.2641
2,-0.8231,-237.95,-8.5499
3,-2.3282,-196.79,-6.9719